{"formula": "CaFeSnP3O12", "functional": "GGA+U", "state": "relaxed", "spacegroup": "R3c (161)", "formation_energy_ev_per_atom": -2.65, "lattice": [[7.8378, -4.3580, 0.0000], [7.8378, 4.3580, 0.0000], [5.4147, 0.0000, 7.1487]], "species": ["O", "O", "O", "O", "O", "O", "O", "O", "O", "O", "O", "O", "O", "O", "O", "O", "O", "O", "O", "O", "O", "O", "O", "O", "Fe", "Fe", "P", "P", "P", "P", "P", "P", "Ca", "Ca", "Sn", "Sn"], "fractional_positions": [[0.2295, 0.4381, 0.5801], [0.4381, 0.5801, 0.2295], [0.4819, 0.7115, 0.8835], [0.7115, 0.8835, 0.4819], [0.5083, 0.2917, 0.1218], [0.9381, 0.7295, 0.0801], [0.2115, 0.9819, 0.3835], [0.2917, 0.1218, 0.5083], [0.4178, 0.7706, 0.5643], [0.3835, 0.2115, 0.9819], [0.7295, 0.0801, 0.9381], [0.0643, 0.2706, 0.9178], [0.1218, 0.5083, 0.2917], [0.5643, 0.4178, 0.7706], [0.9819, 0.3835, 0.2115], [0.6218, 0.7917, 0.0083], [0.9178, 0.0643, 0.2706], [0.8835, 0.4819, 0.7115], [0.0083, 0.6218, 0.7917], [0.7706, 0.5643, 0.4178], [0.2706, 0.9178, 0.0643], [0.5801, 0.2295, 0.4381], [0.7917, 0.0083, 0.6218], [0.0801, 0.9381, 0.7295], [0.8523, 0.8523, 0.8523], [0.3523, 0.3523, 0.3523], [0.4604, 0.7482, 0.0452], [0.5452, 0.2482, 0.9604], [0.7482, 0.0452, 0.4604], [0.2482, 0.9604, 0.5452], [0.9604, 0.5452, 0.2482], [0.0452, 0.4604, 0.7482], [0.9972, 0.9972, 0.9972], [0.4972, 0.4972, 0.4972], [0.1476, 0.1476, 0.1476], [0.6476, 0.6476, 0.6476]]}